# 1
{"formula": "K2SmCl5", "functional": "PBE", "state": "optimized geometry", "delta_e_f_ev_per_atom": -2.55, "spacegroup": "Pnma, No. 62", "lattice": [[13.1251, 0.0000, 0.0000], [0.0000, 8.6782, 0.0000], [0.0000, 0.0000, 8.1393]], "species": ["K", "K", "K", "K", "K", "K", "K", "K", "Sm", "Sm", "Sm", "Sm", "Cl", "Cl", "Cl", "Cl", "Cl", "Cl", "Cl", "Cl", "Cl", "Cl", "Cl", "Cl", "Cl", "Cl", "Cl", "Cl", "Cl", "Cl", "Cl", "Cl"], "fractional_positions": [[0.1744, 0.9998, 0.0334], [0.1744, 0.5002, 0.0334], [0.3256, 0.0002, 0.5334], [0.3256, 0.4998, 0.5334], [0.6744, 0.9998, 0.4666], [0.6744, 0.5002, 0.4666], [0.8256, 0.0002, 0.9666], [0.8256, 0.4998, 0.9666], [0.0034, 0.2500, 0.5755], [0.4966, 0.7500, 0.0755], [0.5034, 0.2500, 0.9245], [0.9966, 0.7500, 0.4245], [0.0115, 0.2500, 0.9146], [0.0822, 0.5403, 0.6539], [0.0822, 0.9597, 0.6539], [0.1667, 0.2500, 0.3627], [0.1982, 0.7500, 0.3284], [0.3018, 0.2500, 0.8284], [0.3333, 0.7500, 0.8627], [0.4178, 0.0403, 0.1539], [0.4178, 0.4597, 0.1539], [0.4885, 0.7500, 0.4146], [0.5115, 0.2500, 0.5854], [0.5822, 0.5403, 0.8461], [0.5822, 0.9597, 0.8461], [0.6667, 0.2500, 0.1373], [0.6982, 0.7500, 0.1716], [0.8018, 0.2500, 0.6716], [0.8333, 0.7500, 0.6373], [0.9178, 0.0403, 0.3461], [0.9178, 0.4597, 0.3461], [0.9885, 0.7500, 0.0854]]}

---

# 2
{"formula": "Sm3ErS4", "functional": "PBE", "state": "optimized geometry", "delta_e_f_ev_per_atom": -2.25, "spacegroup": "Pmmm, No. 47", "lattice": [[3.9776, 0.0000, 0.0000], [0.0000, 5.6339, 0.0000], [0.0000, 0.0000, 7.9026]], "species": ["Sm", "Sm", "Sm", "Er", "S", "S", "S", "S"], "fractional_positions": [[0.0000, 0.0000, 0.0000], [0.5000, 0.5000, 0.2464], [0.5000, 0.5000, 0.7536], [0.0000, 0.0000, 0.5000], [0.0000, 0.5000, 0.0000], [0.0000, 0.5000, 0.5000], [0.5000, 0.0000, 0.2614], [0.5000, 0.0000, 0.7386]]}

---

# 3
{"formula": "Cs2NdAgF6", "functional": "PBE", "state": "optimized geometry", "magnetic_moment_mub_per_fu": 0.00, "delta_e_f_ev_per_atom": -3.16, "spacegroup": "Fm-3m, No. 225", "lattice": [[0.0000, 4.7862, 4.7862], [4.7862, 0.0000, 4.7862], [4.7862, 4.7862, 0.0000]], "species": ["Cs", "Cs", "Nd", "Ag", "F", "F", "F", "F", "F", "F"], "fractional_positions": [[0.2500, 0.2500, 0.2500], [0.7500, 0.7500, 0.7500], [0.0000, 0.0000, 0.0000], [0.5000, 0.5000, 0.5000], [0.2387, 0.2387, 0.7613], [0.2387, 0.7613, 0.2387], [0.2387, 0.7613, 0.7613], [0.7613, 0.2387, 0.2387], [0.7613, 0.2387, 0.7613], [0.7613, 0.7613, 0.2387]]}

---

# 4
{"formula": "Tm2CuAu", "functional": "PBE", "state": "optimized geometry", "magnetic_moment_mub_per_fu": 0.00, "delta_e_f_ev_per_atom": -0.59, "spacegroup": "Fm-3m, No. 225", "lattice": [[0.0000, 3.4874, 3.4874], [3.4874, 0.0000, 3.4874], [3.4874, 3.4874, 0.0000]], "species": ["Tm", "Tm", "Cu", "Au"], "fractional_positions": [[0.2500, 0.2500, 0.2500], [0.7500, 0.7500, 0.7500], [0.0000, 0.0000, 0.0000], [0.5000, 0.5000, 0.5000]]}

---

# 5
{"formula": "Rb2LuAuCl6", "functional": "PBE", "state": "optimized geometry", "magnetic_moment_mub_per_fu": 0.00, "delta_e_f_ev_per_atom": -2.04, "spacegroup": "Fm-3m, No. 225", "lattice": [[0.0000, 5.3388, 5.3388], [5.3388, 0.0000, 5.3388], [5.3388, 5.3388, 0.0000]], "species": ["Rb", "Rb", "Lu", "Au", "Cl", "Cl", "Cl", "Cl", "Cl", "Cl"], "fractional_positions": [[0.2500, 0.2500, 0.2500], [0.7500, 0.7500, 0.7500], [0.0000, 0.0000, 0.0000], [0.5000, 0.5000, 0.5000], [0.2417, 0.2417, 0.7583], [0.2417, 0.7583, 0.2417], [0.2417, 0.7583, 0.7583], [0.7583, 0.2417, 0.2417], [0.7583, 0.2417, 0.7583], [0.7583, 0.7583, 0.2417]]}

---

# 6
{"formula": "Ca5Cu2N4", "functional": "PBE", "state": "optimized geometry", "delta_e_f_ev_per_atom": -0.79, "spacegroup": "P4/ncc, No. 130", "lattice": [[8.0134, 0.0000, 0.0000], [0.0000, 8.0134, 0.0000], [0.0000, 0.0000, 12.4166]], "species": ["Ca", "Ca", "Ca", "Ca", "Ca", "Ca", "Ca", "Ca", "Ca", "Ca", "Ca", "Ca", "Ca", "Ca", "Ca", "Ca", "Ca", "Ca", "Ca", "Ca", "Cu", "Cu", "Cu", "Cu", "Cu", "Cu", "Cu", "Cu", "N", "N", "N", "N", "N", "N", "N", "N", "N", "N", "N", "N", "N", "N", "N", "N"], "fractional_positions": [[0.0779, 0.6327, 0.0896], [0.0779, 0.8673, 0.5896], [0.1327, 0.5779, 0.4104], [0.1327, 0.9221, 0.9104], [0.2500, 0.2500, 0.1377], [0.2500, 0.2500, 0.6377], [0.3673, 0.5779, 0.9104], [0.3673, 0.9221, 0.4104], [0.4221, 0.6327, 0.5896], [0.4221, 0.8673, 0.0896], [0.5779, 0.1327, 0.9104], [0.5779, 0.3673, 0.4104], [0.6327, 0.0779, 0.5896], [0.6327, 0.4221, 0.0896], [0.7500, 0.7500, 0.3623], [0.7500, 0.7500, 0.8623], [0.8673, 0.0779, 0.0896], [0.8673, 0.4221, 0.5896], [0.9221, 0.1327, 0.4104], [0.9221, 0.3673, 0.9104], [0.0927, 0.5927, 0.7500], [0.0927, 0.9073, 0.2500], [0.4073, 0.5927, 0.2500], [0.4073, 0.9073, 0.7500], [0.5927, 0.0927, 0.2500], [0.5927, 0.4073, 0.7500], [0.9073, 0.0927, 0.7500], [0.9073, 0.4073, 0.2500], [0.0517, 0.6368, 0.8956], [0.0517, 0.8632, 0.3956], [0.1368, 0.5517, 0.6044], [0.1368, 0.9483, 0.1044], [0.3632, 0.5517, 0.1044], [0.3632, 0.9483, 0.6044], [0.4483, 0.6368, 0.3956], [0.4483, 0.8632, 0.8956], [0.5517, 0.1368, 0.1044], [0.5517, 0.3632, 0.6044], [0.6368, 0.0517, 0.3956], [0.6368, 0.4483, 0.8956], [0.8632, 0.0517, 0.8956], [0.8632, 0.4483, 0.3956], [0.9483, 0.1368, 0.6044], [0.9483, 0.3632, 0.1044]]}

---

# 7
{"formula": "KLaZrSnO6", "functional": "PBE", "state": "optimized geometry", "magnetic_moment_mub_per_fu": 0.00, "delta_e_f_ev_per_atom": -2.96, "spacegroup": "F-43m, No. 216", "lattice": [[0.0000, 4.1429, 4.1429], [4.1429, 0.0000, 4.1429], [4.1429, 4.1429, 0.0000]], "species": ["K", "La", "Zr", "Sn", "O", "O", "O", "O", "O", "O"], "fractional_positions": [[0.0000, 0.0000, 0.0000], [0.5000, 0.5000, 0.5000], [0.2500, 0.2500, 0.2500], [0.7500, 0.7500, 0.7500], [0.5018, 0.5018, 0.9982], [0.5018, 0.9982, 0.5018], [0.5018, 0.9982, 0.9982], [0.9982, 0.5018, 0.5018], [0.9982, 0.5018, 0.9982], [0.9982, 0.9982, 0.5018]]}

---

# 8
{"formula": "Cd4Te6Cl6O13", "functional": "PBE", "state": "optimized geometry", "magnetic_moment_mub_per_fu": 0.00, "delta_e_f_ev_per_atom": -1.37, "spacegroup": "P-1, No. 2", "lattice": [[8.0154, 0.0000, 0.0000], [0.0210, 10.1058, 0.0000], [3.7180, 3.4422, 13.4262]], "species": ["Cd", "Cd", "Cd", "Cd", "Cd", "Cd", "Cd", "Cd", "Te", "Te", "Te", "Te", "Te", "Te", "Te", "Te", "Te", "Te", "Te", "Te", "Cl", "Cl", "Cl", "Cl", "Cl", "Cl", "Cl", "Cl", "Cl", "Cl", "Cl", "Cl", "O", "O", "O", "O", "O", "O", "O", "O", "O", "O", "O", "O", "O", "O", "O", "O", "O", "O", "O", "O", "O", "O", "O", "O", "O", "O"], "fractional_positions": [[0.0880, 0.1448, 0.0408], [0.1056, 0.6556, 0.5391], [0.3917, 0.3447, 0.4619], [0.4080, 0.8529, 0.9651], [0.5920, 0.1471, 0.0349], [0.6083, 0.6553, 0.5381], [0.8944, 0.3444, 0.4609], [0.9120, 0.8552, 0.9592], [0.0536, 0.7758, 0.1815], [0.2002, 0.4948, 0.8965], [0.2206, 0.0625, 0.2571], [0.2519, 0.9395, 0.7434], [0.3615, 0.4991, 0.1062], [0.4837, 0.1760, 0.7905], [0.5163, 0.8240, 0.2095], [0.6385, 0.5009, 0.8938], [0.7481, 0.0605, 0.2566], [0.7794, 0.9375, 0.7429], [0.7998, 0.5052, 0.1035], [0.9464, 0.2242, 0.8185], [0.0190, 0.6984, 0.7150], [0.1086, 0.1798, 0.5338], [0.1790, 0.5367, 0.3887], [0.3236, 0.4635, 0.6136], [0.3897, 0.8167, 0.4669], [0.4698, 0.2826, 0.2909], [0.5302, 0.7174, 0.7091], [0.6103, 0.1833, 0.5331], [0.6764, 0.5365, 0.3864], [0.8210, 0.4633, 0.6113], [0.8914, 0.8202, 0.4662], [0.9810, 0.3016, 0.2850], [0.0007, 0.9760, 0.7754], [0.0988, 0.3214, 0.8964], [0.1012, 0.9074, 0.0588], [0.1452, 0.4429, 0.0387], [0.2068, 0.8290, 0.8745], [0.2453, 0.8741, 0.2286], [0.2486, 0.1226, 0.7752], [0.2619, 0.6848, 0.1259], [0.2982, 0.1640, 0.1238], [0.4215, 0.0980, 0.9296], [0.4262, 0.4148, 0.8703], [0.4372, 0.6122, 0.9681], [0.4900, 0.0069, 0.2390], [0.5100, 0.9931, 0.7610], [0.5628, 0.3878, 0.0319], [0.5738, 0.5852, 0.1297], [0.5785, 0.9020, 0.0704], [0.7018, 0.8360, 0.8762], [0.7381, 0.3152, 0.8741], [0.7514, 0.8774, 0.2248], [0.7547, 0.1259, 0.7714], [0.7932, 0.1710, 0.1255], [0.8548, 0.5571, 0.9613], [0.8988, 0.0926, 0.9412], [0.9012, 0.6786, 0.1036], [0.9993, 0.0240, 0.2246]]}

---

# 9
{"formula": "NaNbO3", "functional": "PBE", "state": "optimized geometry", "magnetic_moment_mub_per_fu": 0.00, "delta_e_f_ev_per_atom": -2.82, "spacegroup": "Pnma, No. 62", "lattice": [[5.6457, 0.0000, 0.0000], [0.0000, 47.8434, 0.0000], [0.0000, 0.0000, 5.6306]], "species": ["Na", "Na", "Na", "Na", "Na", "Na", "Na", "Na", "Na", "Na", "Na", "Na", "Na", "Na", "Na", "Na", "Na", "Na", "Na", "Na", "Na", "Na", "Na", "Na", "Nb", "Nb", "Nb", "Nb", "Nb", "Nb", "Nb", "Nb", "Nb", "Nb", "Nb", "Nb", "Nb", "Nb", "Nb", "Nb", "Nb", "Nb", "Nb", "Nb", "Nb", "Nb", "Nb", "Nb", "O", "O", "O", "O", "O", "O", "O", "O", "O", "O", "O", "O", "O", "O", "O", "O", "O", "O", "O", "O", "O", "O", "O", "O", "O", "O", "O", "O", "O", "O", "O", "O", "O", "O", "O", "O", "O", "O", "O", "O", "O", "O", "O", "O", "O", "O", "O", "O", "O", "O", "O", "O", "O", "O", "O", "O", "O", "O", "O", "O", "O", "O", "O", "O", "O", "O", "O", "O", "O", "O", "O", "O"], "fractional_positions": [[0.0126, 0.0410, 0.0015], [0.0126, 0.4590, 0.0015], [0.0244, 0.1243, 0.0049], [0.0238, 0.2083, 0.0143], [0.0238, 0.2917, 0.0143], [0.0244, 0.3757, 0.0049], [0.4756, 0.6243, 0.5049], [0.4762, 0.7083, 0.5143], [0.4762, 0.7917, 0.5143], [0.4756, 0.8757, 0.5049], [0.4874, 0.5410, 0.5015], [0.4874, 0.9590, 0.5015], [0.5126, 0.0410, 0.4985], [0.5126, 0.4590, 0.4985], [0.5244, 0.1243, 0.4951], [0.5238, 0.2083, 0.4857], [0.5238, 0.2917, 0.4857], [0.5244, 0.3757, 0.4951], [0.9756, 0.6243, 0.9951], [0.9762, 0.7083, 0.9857], [0.9762, 0.7917, 0.9857], [0.9756, 0.8757, 0.9951], [0.9874, 0.5410, 0.9985], [0.9874, 0.9590, 0.9985], [0.0000, 0.0000, 0.5000], [0.0000, 0.5000, 0.5000], [0.0208, 0.0833, 0.4971], [0.0208, 0.4167, 0.4971], [0.0237, 0.1666, 0.5073], [0.0245, 0.2500, 0.5067], [0.0237, 0.3334, 0.5073], [0.4763, 0.6666, 0.0073], [0.4755, 0.7500, 0.0067], [0.4763, 0.8334, 0.0073], [0.4792, 0.5833, 0.9971], [0.4792, 0.9167, 0.9971], [0.5000, 0.0000, 0.0000], [0.5000, 0.5000, 0.0000], [0.5208, 0.0833, 0.0029], [0.5208, 0.4167, 0.0029], [0.5237, 0.1666, 0.9927], [0.5245, 0.2500, 0.9933], [0.5237, 0.3334, 0.9927], [0.9763, 0.6666, 0.4927], [0.9755, 0.7500, 0.4933], [0.9763, 0.8334, 0.4927], [0.9792, 0.5833, 0.5029], [0.9792, 0.9167, 0.5029], [0.0089, 0.5416, 0.4897], [0.0089, 0.9584, 0.4897], [0.0162, 0.7083, 0.5100], [0.0162, 0.7917, 0.5100], [0.0195, 0.6250, 0.4985], [0.0195, 0.8750, 0.4985], [0.1924, 0.1671, 0.7989], [0.1924, 0.3329, 0.7989], [0.1937, 0.2500, 0.7978], [0.2033, 0.0827, 0.2108], [0.2033, 0.4173, 0.2108], [0.2060, 0.5010, 0.7943], [0.2060, 0.9990, 0.7943], [0.2092, 0.7500, 0.8006], [0.2118, 0.6660, 0.7998], [0.2118, 0.8340, 0.7998], [0.2203, 0.5836, 0.2120], [0.2203, 0.9164, 0.2120], [0.2797, 0.0836, 0.7120], [0.2797, 0.4164, 0.7120], [0.2882, 0.1660, 0.2998], [0.2882, 0.3340, 0.2998], [0.2908, 0.2500, 0.3006], [0.2940, 0.0010, 0.2943], [0.2940, 0.4990, 0.2943], [0.2967, 0.5827, 0.7108], [0.2967, 0.9173, 0.7108], [0.3063, 0.7500, 0.2978], [0.3076, 0.6671, 0.2989], [0.3076, 0.8329, 0.2989], [0.4805, 0.1250, 0.9985], [0.4805, 0.3750, 0.9985], [0.4838, 0.2083, 0.0100], [0.4838, 0.2917, 0.0100], [0.4911, 0.0416, 0.9897], [0.4911, 0.4584, 0.9897], [0.5089, 0.5416, 0.0103], [0.5089, 0.9584, 0.0103], [0.5162, 0.7083, 0.9900], [0.5162, 0.7917, 0.9900], [0.5195, 0.6250, 0.0015], [0.5195, 0.8750, 0.0015], [0.6924, 0.1671, 0.7011], [0.6924, 0.3329, 0.7011], [0.6937, 0.2500, 0.7022], [0.7033, 0.0827, 0.2892], [0.7033, 0.4173, 0.2892], [0.7060, 0.5010, 0.7057], [0.7060, 0.9990, 0.7057], [0.7092, 0.7500, 0.6994], [0.7118, 0.6660, 0.7002], [0.7118, 0.8340, 0.7002], [0.7203, 0.5836, 0.2880], [0.7203, 0.9164, 0.2880], [0.7797, 0.0836, 0.7880], [0.7797, 0.4164, 0.7880], [0.7882, 0.1660, 0.2002], [0.7882, 0.3340, 0.2002], [0.7908, 0.2500, 0.1994], [0.7940, 0.0010, 0.2057], [0.7940, 0.4990, 0.2057], [0.7967, 0.5827, 0.7892], [0.7967, 0.9173, 0.7892], [0.8063, 0.7500, 0.2022], [0.8076, 0.6671, 0.2011], [0.8076, 0.8329, 0.2011], [0.9805, 0.1250, 0.5015], [0.9805, 0.3750, 0.5015], [0.9838, 0.2083, 0.4900], [0.9838, 0.2917, 0.4900], [0.9911, 0.0416, 0.5103], [0.9911, 0.4584, 0.5103]]}

---

# 10
{"formula": "VC6N9", "functional": "PBE", "state": "optimized geometry", "magnetic_moment_mub_per_fu": 2.00, "delta_e_f_ev_per_atom": 0.08, "spacegroup": "Cmcm, No. 63", "lattice": [[3.5493, -6.5491, 0.0000], [3.5493, 6.5491, 0.0000], [0.0000, 0.0000, 11.5420]], "species": ["V", "V", "C", "C", "C", "C", "C", "C", "C", "C", "C", "C", "C", "C", "N", "N", "N", "N", "N", "N", "N", "N", "N", "N", "N", "N", "N", "N", "N", "N", "N", "N"], "fractional_positions": [[0.2230, 0.7770, 0.7500], [0.7770, 0.2230, 0.2500], [0.0411, 0.2792, 0.7500], [0.1934, 0.4879, 0.0940], [0.1934, 0.4879, 0.4060], [0.2792, 0.0411, 0.2500], [0.4879, 0.1934, 0.5940], [0.4879, 0.1934, 0.9060], [0.5121, 0.8066, 0.0940], [0.5121, 0.8066, 0.4060], [0.7208, 0.9589, 0.7500], [0.8066, 0.5121, 0.5940], [0.8066, 0.5121, 0.9060], [0.9589, 0.7208, 0.2500], [0.0217, 0.3581, 0.1297], [0.0217, 0.3581, 0.3703], [0.0723, 0.9277, 0.2500], [0.1554, 0.4676, 0.7500], [0.3581, 0.0217, 0.6297], [0.3581, 0.0217, 0.8703], [0.3792, 0.6208, 0.0499], [0.3792, 0.6208, 0.4501], [0.4676, 0.1554, 0.2500], [0.5324, 0.8446, 0.7500], [0.6208, 0.3792, 0.5499], [0.6208, 0.3792, 0.9501], [0.6419, 0.9783, 0.1297], [0.6419, 0.9783, 0.3703], [0.8446, 0.5324, 0.2500], [0.9277, 0.0723, 0.7500], [0.9783, 0.6419, 0.6297], [0.9783, 0.6419, 0.8703]]}

---

# 11
{"formula": "CeMg2Fe", "functional": "PBE", "state": "optimized geometry", "magnetic_moment_mub_per_fu": 1.73, "delta_e_f_ev_per_atom": 0.30, "spacegroup": "Fm-3m, No. 225", "lattice": [[0.0000, 3.5120, 3.5120], [3.5120, 0.0000, 3.5120], [3.5120, 3.5120, 0.0000]], "species": ["Ce", "Mg", "Mg", "Fe"], "fractional_positions": [[0.0000, 0.0000, 0.0000], [0.2500, 0.2500, 0.2500], [0.7500, 0.7500, 0.7500], [0.5000, 0.5000, 0.5000]]}

---

# 12
{"formula": "CaNdAu2", "functional": "PBE", "state": "optimized geometry", "delta_e_f_ev_per_atom": -0.81, "spacegroup": "Fm-3m, No. 225", "lattice": [[0.0000, 3.6758, 3.6758], [3.6758, 0.0000, 3.6758], [3.6758, 3.6758, 0.0000]], "species": ["Ca", "Nd", "Au", "Au"], "fractional_positions": [[0.0000, 0.0000, 0.0000], [0.5000, 0.5000, 0.5000], [0.2500, 0.2500, 0.2500], [0.7500, 0.7500, 0.7500]]}

---

Please write out number 4 again, unchanged.
{"formula": "Tm2CuAu", "functional": "PBE", "state": "optimized geometry", "magnetic_moment_mub_per_fu": 0.00, "delta_e_f_ev_per_atom": -0.59, "spacegroup": "Fm-3m, No. 225", "lattice": [[0.0000, 3.4874, 3.4874], [3.4874, 0.0000, 3.4874], [3.4874, 3.4874, 0.0000]], "species": ["Tm", "Tm", "Cu", "Au"], "fractional_positions": [[0.2500, 0.2500, 0.2500], [0.7500, 0.7500, 0.7500], [0.0000, 0.0000, 0.0000], [0.5000, 0.5000, 0.5000]]}

---

- What is the formula in the seventh record?
  KLaZrSnO6